VASP calculation (PBE-GGA) on a relaxed Ho6Bi2Rh crystal.

Structure (CIF):
```
data_Ho6Bi2Rh
_cell_length_a 8.3945
_cell_length_b 8.3945
_cell_length_c 4.1195
_cell_angle_alpha 90.00
_cell_angle_beta 90.00
_cell_angle_gamma 120.00
_symmetry_space_group_name_H-M 'P -6 2 m'
_symmetry_Int_Tables_number 189
_symmetry_space_group_name_Hall 'P -6 -2'
loop_
_atom_site_label
_atom_site_type_symbol
_atom_site_fract_x
_atom_site_fract_y
_atom_site_fract_z
Ho1 Ho 0.0000 0.3949 0.0000
Ho2 Ho 0.0000 0.7636 0.5000
Bi1 Bi 0.3333 0.6667 0.5000
Rh1 Rh 0.0000 0.0000 0.0000
```

Summary:
**Energy of formation from the pure elements**: -0.62 eV per atom
**Crystal system**: hexagonal

---

VASP calculation (PBE-GGA) on a relaxed BiI3 crystal.

Structure (CIF):
```
data_BiI3
_cell_length_a 9.128
_cell_length_b 13.276
_cell_length_c 8.032
_cell_angle_alpha 90.00
_cell_angle_beta 114.26
_cell_angle_gamma 90.00
_symmetry_space_group_name_H-M 'P 1 21/c 1'
_symmetry_Int_Tables_number 14
_symmetry_space_group_name_Hall '-P 2ybc'
loop_
_atom_site_label
_atom_site_type_symbol
_atom_site_fract_x
_atom_site_fract_y
_atom_site_fract_z
Bi1 Bi 0.026 0.168 0.085
I1 I 0.168 0.655 0.174
I2 I 0.220 0.529 0.716
I3 I 0.267 0.210 0.908
```

Summary:
**Energy of formation from the pure elements**: -0.75 eV per atom
**Crystal system**: monoclinic

---

VASP calculation (PBE-GGA) on a relaxed BiI3 crystal.

Structure (CIF):
```
data_BiI3
_cell_length_a 4.160
_cell_length_b 12.534
_cell_length_c 7.941
_cell_angle_alpha 90.00
_cell_angle_beta 104.36
_cell_angle_gamma 90.00
_symmetry_space_group_name_H-M 'P 1 21/m 1'
_symmetry_Int_Tables_number 11
_symmetry_space_group_name_Hall '-P 2yb'
loop_
_atom_site_label
_atom_site_type_symbol
_atom_site_fract_x
_atom_site_fract_y
_atom_site_fract_z
Bi1 Bi 0.176 0.250 0.454
I1 I 0.139 0.750 0.236
I2 I 0.361 0.589 0.711
```

Summary:
**Energy of formation from the pure elements**: -0.68 eV per atom
**Crystal system**: monoclinic